(1)
The following is a PBE+U calculation of a geometry-optimized Sr3W2O9 structure, from the Materials Project database.

## Properties
* M_tot: 0.00 μB/cell
* symmetry: P2_1/m, No. 11
* formation enthalpy at 0 K: -2730 meV/atom
* energy relative to the lowest polymorph listed for this composition: 0.037 eV per atom

Cell: 8.117 9.069 9.670 Å, 62.85 90.00 90.00°
Element x y z (fractional)
O  0.250  0.979  0.503
O  0.935  0.105  0.206
O  0.750  0.860  0.009
O  0.565  0.300  0.776
O  0.750  0.021  0.497
O  0.250  0.638  0.746
O  0.435  0.895  0.794
O  0.435  0.700  0.224
O  0.935  0.300  0.776
O  0.750  0.580  0.527
O  0.250  0.140  0.991
O  0.065  0.700  0.224
O  0.565  0.105  0.206
O  0.250  0.457  0.158
O  0.750  0.543  0.842
O  0.750  0.362  0.254
O  0.065  0.895  0.794
O  0.250  0.420  0.473
W  0.250  0.571  0.270
W  0.250  0.851  0.710
W  0.750  0.149  0.290
W  0.750  0.429  0.730
Sr  0.750  0.628  0.255
Sr  0.250  0.372  0.745
Sr  0.250  0.166  0.222
Sr  0.500  0.000  0.000
Sr  0.750  0.834  0.778
Sr  0.000  0.000  0.000


(2)
The following is a PBE+U calculation of a geometry-optimized SrWO4 structure, from the Materials Project database.

## Properties
* symmetry: I4_1/a, No. 88
* formation enthalpy at 0 K: -2746 meV/atom

Cell: 7.185 7.185 7.185 Å, 134.65 134.65 66.08°
Element x y z (fractional)
O  0.571  0.972  0.876
O  0.028  0.904  0.599
O  0.445  0.821  0.099
O  0.722  0.346  0.901
O  0.096  0.695  0.124
O  0.654  0.555  0.376
O  0.305  0.429  0.401
O  0.179  0.278  0.624
Sr  0.750  0.250  0.500
Sr  0.000  0.000  0.000
W  0.500  0.500  0.000
W  0.250  0.750  0.500


(3)
The following is a PBE+U calculation of a geometry-optimized Sr2YWO6 structure, from the Materials Project database.

## Properties
* M_tot: 1.00 μB/cell
* symmetry: Fm-3m, No. 225
* formation enthalpy at 0 K: -3027 meV/atom

Cell: 5.946 5.946 5.946 Å, 60.00 60.00 60.00°
Element x y z (fractional)
O  0.763  0.237  0.763
O  0.237  0.237  0.763
O  0.763  0.237  0.237
O  0.763  0.763  0.237
O  0.237  0.763  0.237
O  0.237  0.763  0.763
W  0.000  0.000  0.000
Sr  0.250  0.250  0.250
Sr  0.750  0.750  0.750
Y  0.500  0.500  0.500


(4)
The following is a PBE+U calculation of a geometry-optimized TaTlV2O8 structure, from the Materials Project database.

## Properties
* M_tot: 0.09 μB/cell
* symmetry: Pnma, No. 62
* formation enthalpy at 0 K: -2531 meV/atom

Cell: 5.679 9.126 15.135 Å, 90.00 90.00 90.00°
Element x y z (fractional)
O  0.250  0.210  0.947
O  0.750  0.422  0.965
O  0.998  0.151  0.312
O  0.750  0.137  0.040
O  0.750  0.363  0.540
O  0.498  0.651  0.188
O  0.495  0.358  0.126
O  0.505  0.642  0.874
O  0.250  0.863  0.960
O  0.250  0.578  0.035
O  0.250  0.425  0.281
O  0.995  0.642  0.874
O  0.005  0.358  0.126
O  0.750  0.925  0.219
O  0.750  0.575  0.719
O  0.505  0.858  0.374
O  0.502  0.349  0.812
O  0.002  0.651  0.188
O  0.750  0.078  0.465
O  0.005  0.142  0.626
O  0.002  0.849  0.688
O  0.250  0.922  0.535
O  0.250  0.075  0.781
O  0.495  0.142  0.626
O  0.995  0.858  0.374
O  0.250  0.637  0.460
O  0.498  0.849  0.688
O  0.750  0.710  0.553
O  0.750  0.790  0.053
O  0.502  0.151  0.312
O  0.250  0.290  0.447
O  0.998  0.349  0.812
V  0.250  0.244  0.840
V  0.250  0.684  0.938
V  0.750  0.184  0.562
V  0.750  0.316  0.062
V  0.750  0.756  0.160
V  0.750  0.744  0.660
V  0.250  0.256  0.340
V  0.250  0.816  0.438
Tl  0.250  0.440  0.605
Tl  0.750  0.940  0.895
Tl  0.750  0.560  0.395
Tl  0.250  0.060  0.105
Ta  0.250  0.995  0.659
Ta  0.250  0.505  0.159
Ta  0.750  0.495  0.841
Ta  0.750  0.005  0.341


> What is the formation enthalpy at 0 K in the fourth record?

-2531 meV/atom


> Which value of formation enthalpy at 0 K does entry 4 give?

-2531 meV/atom


> formation enthalpy at 0 K of number 1 (Sr3W2O9)?

-2730 meV/atom